# 1
# Pr2Mo2C3

A relaxed structure of Pr2Mo2C3 (r²SCAN, Materials Project).

- formation energy from the elements (meV per atom) = -282

Cell: 5.9923 6.7061 12.0591 Å, 90.00 111.91 90.00°
Atoms (fractional coordinates):
Pr 0.1855 0.2171 0.0908
Pr 0.1855 0.2829 0.5908
Pr 0.2290 0.0011 0.3636
Pr 0.2290 0.4989 0.8636
Pr 0.7710 0.5011 0.1364
Pr 0.7710 0.9989 0.6364
Pr 0.8145 0.7171 0.4092
Pr 0.8145 0.7829 0.9092
Mo 0.3196 0.0050 0.8809
Mo 0.3196 0.4950 0.3809
Mo 0.3230 0.7453 0.1581
Mo 0.3230 0.7547 0.6581
Mo 0.6770 0.2453 0.3419
Mo 0.6770 0.2547 0.8419
Mo 0.6804 0.5050 0.6191
Mo 0.6804 0.9950 0.1191
C 0.0043 0.1270 0.8593
C 0.0043 0.3730 0.3593
C 0.4397 0.7165 0.5112
C 0.4397 0.7835 0.0112
C 0.4660 0.0124 0.7479
C 0.4660 0.4876 0.2479
C 0.5340 0.5124 0.7521
C 0.5340 0.9876 0.2521
C 0.5603 0.2165 0.9888
C 0.5603 0.2835 0.4888
C 0.9957 0.6270 0.6407
C 0.9957 0.8730 0.1407

# 2
# H8WS4N2

A relaxed structure of H8WS4N2 (r²SCAN, Materials Project).

- formation energy from the elements (meV per atom) = -463

Cell: 9.6064 7.0831 12.4848 Å, 90.00 90.00 90.00°
Atoms (fractional coordinates):
H 0.0371 0.2500 0.2456
H 0.0455 0.7500 0.6360
H 0.0817 0.7500 0.1585
H 0.1076 0.1321 0.3475
H 0.1076 0.3679 0.3475
H 0.1584 0.6317 0.0580
H 0.1584 0.8683 0.0580
H 0.2438 0.2500 0.6468
H 0.2562 0.7500 0.1468
H 0.3416 0.1317 0.5580
H 0.3416 0.3683 0.5580
H 0.3924 0.6321 0.8475
H 0.3924 0.8679 0.8475
H 0.4183 0.2500 0.6585
H 0.4545 0.2500 0.1360
H 0.4629 0.7500 0.7456
H 0.5371 0.2500 0.2544
H 0.5455 0.7500 0.8640
H 0.5817 0.7500 0.3415
H 0.6076 0.1321 0.1525
H 0.6076 0.3679 0.1525
H 0.6584 0.6317 0.4420
H 0.6584 0.8683 0.4420
H 0.7438 0.2500 0.8532
H 0.7562 0.7500 0.3532
H 0.8416 0.1317 0.9420
H 0.8416 0.3683 0.9420
H 0.8924 0.6321 0.6525
H 0.8924 0.8679 0.6525
H 0.9183 0.2500 0.8415
H 0.9545 0.2500 0.3640
H 0.9629 0.7500 0.7544
W 0.2472 0.7500 0.4293
W 0.2528 0.2500 0.9293
W 0.7472 0.7500 0.0707
W 0.7528 0.2500 0.5707
S 0.0260 0.7500 0.3856
S 0.1505 0.5009 0.8636
S 0.1505 0.9991 0.8636
S 0.2286 0.2500 0.1043
S 0.2714 0.7500 0.6043
S 0.3495 0.0009 0.3636
S 0.3495 0.4991 0.3636
S 0.4740 0.2500 0.8856
S 0.5260 0.7500 0.1144
S 0.6505 0.5009 0.6364
S 0.6505 0.9991 0.6364
S 0.7286 0.2500 0.3957
S 0.7714 0.7500 0.8957
S 0.8495 0.0009 0.1364
S 0.8495 0.4991 0.1364
S 0.9740 0.2500 0.6144
N 0.0512 0.2500 0.3269
N 0.1638 0.7500 0.1059
N 0.3362 0.2500 0.6059
N 0.4488 0.7500 0.8269
N 0.5512 0.2500 0.1731
N 0.6638 0.7500 0.3941
N 0.8362 0.2500 0.8941
N 0.9488 0.7500 0.6731

# 3
# BaTi6O12

A relaxed structure of BaTi6O12 (r²SCAN, Materials Project).

- formation energy from the elements (meV per atom) = -3325

Cell: 8.4547 8.4547 8.4547 Å, 106.06 106.06 116.53°
Atoms (fractional coordinates):
Ba 0.2204 0.2204 0.0000
Ba 0.7796 0.7796 0.0000
Ti 0.0129 0.4952 0.1851
Ti 0.1669 0.3479 0.5147
Ti 0.1722 0.9871 0.4824
Ti 0.3102 0.8278 0.8149
Ti 0.3479 0.8331 0.1810
Ti 0.4952 0.3102 0.4824
Ti 0.5048 0.6898 0.5176
Ti 0.6521 0.1669 0.8190
Ti 0.6898 0.1722 0.1851
Ti 0.8278 0.0129 0.5176
Ti 0.8331 0.6521 0.4853
Ti 0.9871 0.5048 0.8149
O 0.1274 0.8380 0.6305
O 0.1358 0.1799 0.6415
O 0.1514 0.8064 0.9578
O 0.1620 0.7925 0.2894
O 0.1631 0.5359 0.6990
O 0.1799 0.5384 0.0441
O 0.1936 0.1514 0.3450
O 0.2075 0.4969 0.3695
O 0.4616 0.5057 0.6415
O 0.4641 0.1631 0.6273
O 0.4943 0.1358 0.9559
O 0.4969 0.1274 0.2894
O 0.5031 0.8726 0.7106
O 0.5057 0.8642 0.0441
O 0.5359 0.8369 0.3727
O 0.5384 0.4943 0.3585
O 0.7925 0.5031 0.6305
O 0.8064 0.8486 0.6550
O 0.8201 0.4616 0.9559
O 0.8369 0.4641 0.3010
O 0.8380 0.2075 0.7106
O 0.8486 0.1936 0.0422
O 0.8642 0.8201 0.3585
O 0.8726 0.1620 0.3695